VASP calculation (PBE) on MgGe7N10 after structural relaxation.

Cell lengths 7.0181, 7.3335, 10.3081 Å; angles 90.00, 104.88, 90.00 degrees
Atoms (fractional coordinates):
1 Mg 0.0000 0.0845 0.0000
2 Mg 0.0000 0.9155 0.5000
3 Ge 0.1189 0.3950 0.8730
4 Ge 0.1189 0.6050 0.3730
5 Ge 0.3085 0.3780 0.1828
6 Ge 0.3085 0.6220 0.6828
7 Ge 0.3435 0.0211 0.8187
8 Ge 0.3435 0.9789 0.3187
9 Ge 0.4943 0.3642 0.4869
10 Ge 0.4943 0.6358 0.9869
11 Ge 0.5480 0.0226 0.1215
12 Ge 0.5480 0.9774 0.6215
13 Ge 0.6681 0.3543 0.7957
14 Ge 0.6681 0.6457 0.2957
15 Ge 0.8473 0.3829 0.1139
16 Ge 0.8473 0.6171 0.6139
17 N 0.0854 0.4253 0.2410
18 N 0.0854 0.5747 0.7410
19 N 0.1373 0.1483 0.8450
20 N 0.1373 0.8517 0.3450
21 N 0.3009 0.4885 0.0223
22 N 0.3009 0.5115 0.5223
23 N 0.3047 0.1252 0.1580
24 N 0.3047 0.8748 0.6580
25 N 0.4428 0.1205 0.4711
26 N 0.4428 0.8795 0.9711
27 N 0.5155 0.4511 0.3221
28 N 0.5155 0.5489 0.8221
29 N 0.5586 0.1280 0.7708
30 N 0.5586 0.8720 0.2708
31 N 0.7144 0.4042 0.6280
32 N 0.7144 0.5958 0.1280
33 N 0.7669 0.1433 0.1050
34 N 0.7669 0.8567 0.6050
35 N 0.8934 0.3699 0.9377
36 N 0.8934 0.6301 0.4377

Results
As for the total energy: -6.527 eV/atom. The value obtained for the formation energy is -0.21 eV per atom. The calculation puts the MP2020-corrected energy at -6.728 eV per atom. For the volume, the calculation gives 512.7 Å³/cell.